# Ba6Nd3TiCu6Mo2O24, relaxed, DFT GGA+U
# Formation energy from the elements = -2.520 eV/atom
# Crystal system = monoclinic
# Space group = No. 12
# Mass density = 6.53 g cm⁻³
data_Ba6Nd3TiCu6Mo2O24
_chemical_formula_sum 'Ba6 Nd3 Ti1 Cu6 Mo2 O24'
_symmetry_space_group_name_H-M 'P 1'
_symmetry_Int_Tables_number 1
_cell_length_a 8.885
_cell_length_b 8.885
_cell_length_c 13.384
_cell_angle_alpha 113.47
_cell_angle_beta 113.47
_cell_angle_gamma 36.89
loop_
_symmetry_equiv_pos_as_xyz
'x,y,z'
loop_
_atom_site_label
_atom_site_fract_x
_atom_site_fract_y
_atom_site_fract_z
Ba1 0.066 0.066 0.197
Ba2 0.270 0.270 0.803
Ba3 0.401 0.401 0.196
Ba4 0.599 0.599 0.804
Ba5 0.730 0.730 0.197
Ba6 0.934 0.934 0.803
Nd1 0.167 0.167 0.500
Nd2 0.500 0.500 0.500
Nd3 0.833 0.833 0.500
Ti1 0.500 0.500 0.000
Cu1 0.045 0.045 0.633
Cu2 0.289 0.289 0.366
Cu3 0.379 0.379 0.637
Cu4 0.621 0.621 0.363
Cu5 0.711 0.711 0.634
Cu6 0.955 0.955 0.367
Mo1 0.164 0.164 0.000
Mo2 0.836 0.836 0.000
O1 0.000 0.500 0.000
O2 0.041 0.543 0.626
O3 0.117 0.117 0.842
O4 0.125 0.625 0.375
O5 0.160 0.670 0.000
O6 0.208 0.710 0.626
O7 0.222 0.222 0.158
O8 0.290 0.792 0.374
O9 0.330 0.840 0.000
O10 0.375 0.875 0.625
O11 0.448 0.448 0.843
O12 0.457 0.959 0.374
O13 0.500 0.000 0.000
O14 0.543 0.041 0.626
O15 0.552 0.552 0.157
O16 0.625 0.125 0.375
O17 0.670 0.160 0.000
O18 0.710 0.208 0.626
O19 0.778 0.778 0.842
O20 0.792 0.290 0.374
O21 0.840 0.330 0.000
O22 0.875 0.375 0.625
O23 0.883 0.883 0.158
O24 0.959 0.457 0.374